1.
VASP calculation (PBE) on an optimized crystal structure of Na4Si4H18O19.

a b c (Å): 9.966 12.518 14.983
angles (deg): 90.00 104.35 90.00
Sites, in units of the cell vectors:
Na (0.042, 0.876, 0.566)
Na (0.958, 0.376, 0.934)
Na (0.958, 0.124, 0.434)
Na (0.042, 0.624, 0.066)
Na (0.764, 0.641, 0.557)
Na (0.236, 0.141, 0.943)
Na (0.236, 0.359, 0.443)
Na (0.764, 0.859, 0.057)
Na (0.308, 0.606, 0.572)
Na (0.692, 0.106, 0.928)
Na (0.692, 0.394, 0.428)
Na (0.308, 0.894, 0.072)
Na (0.480, 0.877, 0.552)
Na (0.520, 0.377, 0.948)
Na (0.520, 0.123, 0.448)
Na (0.480, 0.623, 0.052)
Si (0.594, 0.678, 0.732)
Si (0.406, 0.178, 0.768)
Si (0.406, 0.322, 0.268)
Si (0.594, 0.822, 0.232)
Si (0.855, 0.819, 0.737)
Si (0.145, 0.319, 0.763)
Si (0.145, 0.181, 0.263)
Si (0.855, 0.681, 0.237)
Si (0.341, 0.829, 0.735)
Si (0.659, 0.329, 0.765)
Si (0.659, 0.171, 0.265)
Si (0.341, 0.671, 0.235)
Si (0.100, 0.669, 0.739)
Si (0.900, 0.169, 0.761)
Si (0.900, 0.331, 0.261)
Si (0.100, 0.831, 0.239)
H (0.003, 0.088, 0.620)
H (0.997, 0.588, 0.880)
H (0.997, 0.912, 0.380)
H (0.003, 0.412, 0.120)
H (0.163, 0.086, 0.621)
H (0.837, 0.586, 0.879)
H (0.837, 0.914, 0.379)
H (0.163, 0.414, 0.121)
H (0.662, 0.831, 0.438)
H (0.338, 0.331, 0.062)
H (0.338, 0.169, 0.562)
H (0.662, 0.669, 0.938)
H (0.744, 0.855, 0.542)
H (0.256, 0.355, 0.958)
H (0.256, 0.145, 0.458)
H (0.744, 0.645, 0.042)
H (0.029, 0.647, 0.546)
H (0.971, 0.147, 0.954)
H (0.971, 0.353, 0.454)
H (0.029, 0.853, 0.046)
H (0.955, 0.678, 0.441)
H (0.045, 0.178, 0.059)
H (0.045, 0.322, 0.559)
H (0.955, 0.822, 0.941)
H (0.256, 0.787, 0.429)
H (0.744, 0.287, 0.071)
H (0.744, 0.213, 0.571)
H (0.256, 0.713, 0.929)
H (0.369, 0.703, 0.425)
H (0.631, 0.203, 0.075)
H (0.631, 0.297, 0.575)
H (0.369, 0.797, 0.925)
H (0.859, 0.979, 0.659)
H (0.141, 0.479, 0.841)
H (0.141, 0.021, 0.341)
H (0.859, 0.521, 0.159)
H (0.594, 0.519, 0.656)
H (0.406, 0.019, 0.844)
H (0.406, 0.481, 0.344)
H (0.594, 0.981, 0.156)
H (0.913, 0.427, 0.620)
H (0.087, 0.927, 0.880)
H (0.087, 0.573, 0.380)
H (0.913, 0.073, 0.120)
H (0.756, 0.428, 0.622)
H (0.244, 0.928, 0.878)
H (0.244, 0.572, 0.378)
H (0.756, 0.072, 0.122)
H (0.339, 0.993, 0.663)
H (0.661, 0.493, 0.837)
H (0.661, 0.007, 0.337)
H (0.339, 0.507, 0.163)
H (0.105, 0.507, 0.663)
H (0.895, 0.007, 0.837)
H (0.895, 0.493, 0.337)
H (0.105, 0.993, 0.163)
H (0.677, 0.068, 0.631)
H (0.323, 0.568, 0.869)
H (0.323, 0.932, 0.369)
H (0.677, 0.432, 0.131)
H (0.518, 0.075, 0.633)
H (0.482, 0.575, 0.867)
H (0.482, 0.925, 0.367)
H (0.518, 0.425, 0.133)
H (0.425, 0.398, 0.626)
H (0.575, 0.898, 0.874)
H (0.575, 0.602, 0.374)
H (0.425, 0.102, 0.126)
H (0.265, 0.396, 0.629)
H (0.735, 0.896, 0.871)
H (0.735, 0.604, 0.371)
H (0.265, 0.104, 0.129)
O (0.071, 0.061, 0.587)
O (0.929, 0.561, 0.913)
O (0.929, 0.939, 0.413)
O (0.071, 0.439, 0.087)
O (0.671, 0.810, 0.504)
O (0.329, 0.310, 0.996)
O (0.329, 0.190, 0.496)
O (0.671, 0.690, 0.004)
O (0.975, 0.703, 0.507)
O (0.025, 0.203, 0.993)
O (0.025, 0.297, 0.493)
O (0.975, 0.797, 0.007)
O (0.332, 0.745, 0.470)
O (0.668, 0.245, 0.030)
O (0.668, 0.255, 0.530)
O (0.332, 0.755, 0.970)
O (0.398, 0.882, 0.835)
O (0.602, 0.382, 0.665)
O (0.602, 0.118, 0.165)
O (0.398, 0.618, 0.335)
O (0.911, 0.879, 0.835)
O (0.089, 0.379, 0.665)
O (0.089, 0.121, 0.165)
O (0.911, 0.621, 0.335)
O (0.149, 0.614, 0.839)
O (0.851, 0.114, 0.661)
O (0.851, 0.386, 0.161)
O (0.149, 0.886, 0.339)
O (0.640, 0.617, 0.829)
O (0.360, 0.117, 0.671)
O (0.360, 0.383, 0.171)
O (0.640, 0.883, 0.329)
O (0.866, 0.899, 0.650)
O (0.134, 0.399, 0.850)
O (0.134, 0.101, 0.350)
O (0.866, 0.601, 0.150)
O (0.936, 0.709, 0.719)
O (0.064, 0.209, 0.781)
O (0.064, 0.291, 0.281)
O (0.936, 0.791, 0.219)
O (0.435, 0.728, 0.711)
O (0.565, 0.228, 0.789)
O (0.565, 0.272, 0.289)
O (0.435, 0.772, 0.211)
O (0.586, 0.598, 0.643)
O (0.414, 0.098, 0.857)
O (0.414, 0.402, 0.357)
O (0.586, 0.902, 0.143)
O (0.692, 0.781, 0.721)
O (0.308, 0.281, 0.779)
O (0.308, 0.219, 0.279)
O (0.692, 0.719, 0.221)
O (0.184, 0.778, 0.723)
O (0.816, 0.278, 0.777)
O (0.816, 0.222, 0.277)
O (0.184, 0.722, 0.223)
O (0.822, 0.459, 0.590)
O (0.178, 0.959, 0.910)
O (0.178, 0.541, 0.410)
O (0.822, 0.041, 0.090)
O (0.325, 0.913, 0.648)
O (0.675, 0.413, 0.852)
O (0.675, 0.087, 0.352)
O (0.325, 0.587, 0.148)
O (0.117, 0.588, 0.655)
O (0.883, 0.088, 0.845)
O (0.883, 0.412, 0.345)
O (0.117, 0.912, 0.155)
O (0.584, 0.039, 0.603)
O (0.416, 0.539, 0.897)
O (0.416, 0.961, 0.397)
O (0.584, 0.461, 0.103)
O (0.330, 0.423, 0.595)
O (0.670, 0.923, 0.905)
O (0.670, 0.577, 0.405)
O (0.330, 0.077, 0.095)

The calculation puts the mass density at 1.9 g cm⁻³. The value obtained for the formation energy is -1919 meV per atom.

2.
VASP calculation (PBE) on an optimized crystal structure of NaSi2H7O8.

a b c (Å): 5.006 7.413 20.441
angles (deg): 90.00 90.00 90.00
Sites, in units of the cell vectors:
Na (0.501, 0.753, 0.520)
Na (0.999, 0.253, 0.980)
Na (0.501, 0.253, 0.480)
Na (0.999, 0.753, 0.020)
Si (0.955, 0.458, 0.291)
Si (0.545, 0.958, 0.209)
Si (0.456, 0.538, 0.203)
Si (0.044, 0.038, 0.297)
Si (0.044, 0.538, 0.703)
Si (0.456, 0.038, 0.797)
Si (0.545, 0.458, 0.791)
Si (0.955, 0.958, 0.709)
H (0.325, 0.549, 0.395)
H (0.175, 0.049, 0.105)
H (0.824, 0.449, 0.103)
H (0.676, 0.949, 0.397)
H (0.676, 0.449, 0.603)
H (0.824, 0.949, 0.897)
H (0.175, 0.549, 0.895)
H (0.325, 0.049, 0.605)
H (0.641, 0.558, 0.395)
H (0.859, 0.058, 0.105)
H (0.141, 0.439, 0.103)
H (0.359, 0.939, 0.397)
H (0.359, 0.439, 0.603)
H (0.141, 0.939, 0.897)
H (0.859, 0.558, 0.895)
H (0.641, 0.058, 0.605)
H (0.002, 0.833, 0.452)
H (0.498, 0.333, 0.048)
H (0.498, 0.138, 0.023)
H (0.002, 0.638, 0.477)
H (0.002, 0.138, 0.523)
H (0.498, 0.638, 0.977)
H (0.498, 0.833, 0.952)
H (0.002, 0.333, 0.548)
H (0.998, 0.730, 0.352)
H (0.502, 0.230, 0.148)
H (0.502, 0.730, 0.852)
H (0.998, 0.230, 0.648)
O (0.001, 0.762, 0.493)
O (0.499, 0.262, 0.007)
O (0.001, 0.262, 0.507)
O (0.499, 0.762, 0.993)
O (0.516, 0.468, 0.576)
O (0.984, 0.968, 0.924)
O (0.016, 0.531, 0.923)
O (0.484, 0.031, 0.577)
O (0.484, 0.531, 0.423)
O (0.016, 0.031, 0.077)
O (0.984, 0.468, 0.076)
O (0.516, 0.968, 0.424)
O (0.001, 0.251, 0.315)
O (0.499, 0.751, 0.185)
O (0.001, 0.751, 0.685)
O (0.499, 0.251, 0.815)
O (0.151, 0.513, 0.230)
O (0.349, 0.013, 0.270)
O (0.649, 0.480, 0.265)
O (0.851, 0.980, 0.235)
O (0.851, 0.480, 0.765)
O (0.649, 0.980, 0.735)
O (0.349, 0.513, 0.730)
O (0.151, 0.013, 0.770)
O (0.999, 0.584, 0.356)
O (0.501, 0.084, 0.144)
O (0.501, 0.416, 0.138)
O (0.999, 0.916, 0.362)
O (0.999, 0.416, 0.638)
O (0.501, 0.916, 0.862)
O (0.501, 0.584, 0.856)
O (0.999, 0.084, 0.644)

The calculation puts the mass density at 1.9 g cm⁻³. The value obtained for the formation energy is -1995 meV per atom.

3.
VASP calculation (PBE) on an optimized crystal structure of Na3SiH3O5.

a b c (Å): 6.011 7.979 11.278
angles (deg): 74.77 90.00 90.00
Sites, in units of the cell vectors:
Na (0.511, 0.750, 0.835)
Na (0.011, 0.250, 0.665)
Na (0.489, 0.250, 0.165)
Na (0.989, 0.750, 0.335)
Na (0.807, 0.601, 0.068)
Na (0.307, 0.399, 0.432)
Na (0.193, 0.399, 0.932)
Na (0.693, 0.601, 0.568)
Na (0.256, 0.021, 0.940)
Na (0.756, 0.979, 0.560)
Na (0.744, 0.979, 0.060)
Na (0.244, 0.021, 0.440)
Si (0.706, 0.308, 0.864)
Si (0.206, 0.692, 0.636)
Si (0.294, 0.692, 0.136)
Si (0.794, 0.308, 0.364)
H (0.402, 0.430, 0.667)
H (0.902, 0.570, 0.833)
H (0.598, 0.570, 0.333)
H (0.098, 0.430, 0.167)
H (0.885, 0.013, 0.825)
H (0.385, 0.987, 0.675)
H (0.115, 0.987, 0.175)
H (0.615, 0.013, 0.325)
H (0.973, 0.839, 0.784)
H (0.473, 0.161, 0.716)
H (0.027, 0.161, 0.216)
H (0.527, 0.839, 0.284)
O (0.771, 0.508, 0.885)
O (0.271, 0.492, 0.615)
O (0.229, 0.492, 0.115)
O (0.729, 0.508, 0.385)
O (0.512, 0.229, 0.964)
O (0.012, 0.771, 0.536)
O (0.488, 0.771, 0.036)
O (0.988, 0.229, 0.464)
O (0.934, 0.188, 0.888)
O (0.434, 0.812, 0.612)
O (0.066, 0.812, 0.112)
O (0.566, 0.188, 0.388)
O (0.630, 0.338, 0.719)
O (0.130, 0.662, 0.781)
O (0.370, 0.662, 0.281)
O (0.870, 0.338, 0.219)
O (0.848, 0.927, 0.777)
O (0.348, 0.073, 0.723)
O (0.152, 0.073, 0.223)
O (0.652, 0.927, 0.277)

The calculation puts the mass density at 2.3 g cm⁻³. The value obtained for the formation energy is -2067 meV per atom.

4.
VASP calculation (PBE) on an optimized crystal structure of Na3SiH5O6.

a b c (Å): 6.162 10.557 18.904
angles (deg): 90.00 90.00 90.00
Sites, in units of the cell vectors:
Na (0.782, 0.507, 0.183)
Na (0.218, 0.007, 0.317)
Na (0.718, 0.493, 0.683)
Na (0.282, 0.993, 0.817)
Na (0.218, 0.493, 0.817)
Na (0.782, 0.993, 0.683)
Na (0.282, 0.507, 0.317)
Na (0.718, 0.007, 0.183)
Na (0.969, 0.785, 0.109)
Na (0.031, 0.285, 0.391)
Na (0.531, 0.215, 0.609)
Na (0.469, 0.715, 0.891)
Na (0.031, 0.215, 0.891)
Na (0.969, 0.715, 0.609)
Na (0.469, 0.785, 0.391)
Na (0.531, 0.285, 0.109)
Na (0.262, 0.450, 0.985)
Na (0.738, 0.950, 0.515)
Na (0.238, 0.550, 0.485)
Na (0.762, 0.050, 0.015)
Na (0.738, 0.550, 0.015)
Na (0.262, 0.050, 0.485)
Na (0.762, 0.450, 0.515)
Na (0.238, 0.950, 0.985)
Si (0.272, 0.571, 0.129)
Si (0.728, 0.071, 0.371)
Si (0.228, 0.429, 0.629)
Si (0.772, 0.929, 0.871)
Si (0.728, 0.429, 0.871)
Si (0.272, 0.929, 0.629)
Si (0.772, 0.571, 0.371)
Si (0.228, 0.071, 0.129)
H (0.182, 0.391, 0.187)
H (0.818, 0.891, 0.313)
H (0.318, 0.609, 0.687)
H (0.682, 0.109, 0.813)
H (0.818, 0.609, 0.813)
H (0.182, 0.109, 0.687)
H (0.682, 0.391, 0.313)
H (0.318, 0.891, 0.187)
H (0.114, 0.667, 0.007)
H (0.886, 0.167, 0.493)
H (0.386, 0.333, 0.507)
H (0.614, 0.833, 0.993)
H (0.886, 0.333, 0.993)
H (0.114, 0.833, 0.507)
H (0.614, 0.667, 0.493)
H (0.386, 0.167, 0.007)
H (0.529, 0.766, 0.066)
H (0.471, 0.266, 0.434)
H (0.971, 0.234, 0.566)
H (0.029, 0.734, 0.934)
H (0.471, 0.234, 0.934)
H (0.529, 0.734, 0.566)
H (0.029, 0.766, 0.434)
H (0.971, 0.266, 0.066)
H (0.568, 0.731, 0.189)
H (0.432, 0.231, 0.311)
H (0.932, 0.269, 0.689)
H (0.068, 0.769, 0.811)
H (0.432, 0.269, 0.811)
H (0.568, 0.769, 0.689)
H (0.068, 0.731, 0.311)
H (0.932, 0.231, 0.189)
H (0.248, 0.732, 0.247)
H (0.752, 0.232, 0.253)
H (0.252, 0.268, 0.747)
H (0.748, 0.768, 0.753)
H (0.752, 0.268, 0.753)
H (0.248, 0.768, 0.747)
H (0.748, 0.732, 0.253)
H (0.252, 0.232, 0.247)
O (0.483, 0.497, 0.098)
O (0.517, 0.997, 0.402)
O (0.017, 0.503, 0.598)
O (0.983, 0.003, 0.902)
O (0.517, 0.503, 0.902)
O (0.483, 0.003, 0.598)
O (0.983, 0.497, 0.402)
O (0.017, 0.997, 0.098)
O (0.319, 0.713, 0.161)
O (0.681, 0.213, 0.339)
O (0.181, 0.287, 0.661)
O (0.819, 0.787, 0.839)
O (0.681, 0.287, 0.839)
O (0.319, 0.787, 0.661)
O (0.819, 0.713, 0.339)
O (0.181, 0.213, 0.161)
O (0.072, 0.579, 0.071)
O (0.928, 0.079, 0.429)
O (0.428, 0.421, 0.571)
O (0.572, 0.921, 0.929)
O (0.928, 0.421, 0.929)
O (0.072, 0.921, 0.571)
O (0.572, 0.579, 0.429)
O (0.428, 0.079, 0.071)
O (0.172, 0.482, 0.198)
O (0.828, 0.982, 0.302)
O (0.328, 0.518, 0.698)
O (0.672, 0.018, 0.802)
O (0.828, 0.518, 0.802)
O (0.172, 0.018, 0.698)
O (0.672, 0.482, 0.302)
O (0.328, 0.982, 0.198)
O (0.651, 0.770, 0.033)
O (0.349, 0.270, 0.467)
O (0.849, 0.230, 0.533)
O (0.151, 0.730, 0.967)
O (0.349, 0.230, 0.967)
O (0.651, 0.730, 0.533)
O (0.151, 0.770, 0.467)
O (0.849, 0.270, 0.033)
O (0.727, 0.744, 0.200)
O (0.273, 0.244, 0.300)
O (0.773, 0.256, 0.700)
O (0.227, 0.756, 0.800)
O (0.273, 0.256, 0.800)
O (0.727, 0.756, 0.700)
O (0.227, 0.744, 0.300)
O (0.773, 0.244, 0.200)

The polymorph energy (0 for the lowest one) is 0 meV per atom. The calculation puts the mass density at 2.1 g cm⁻³. The value obtained for the formation energy is -1906 meV per atom.

no.,electronic total energy (eV per atom)
1,-5.674
2,-5.884
3,-5.473
4,-5.368